# Na5Sc3TaSiP5O24 | the Materials Project database | GGA-PBE | relaxed
# E	-7.48	eV/atom
# corrected total energy (MP2020 scheme)	-7.90	eV/atom
# energy of formation from the pure elements	-3.065	eV per atom
# volume	527.1	Å³/f.u.
data_Na5Sc3TaSiP5O24
_chemical_formula_sum 'Na15 Sc9 Ta3 Si3 P15 O72'
_symmetry_space_group_name_H-M 'P 1'
_symmetry_Int_Tables_number 1
_symmetry_space_group_name_Hall 'P 1'
_cell_length_a 8.998
_cell_length_b 9.005
_cell_length_c 22.541
_cell_angle_alpha 90.02
_cell_angle_beta 89.97
_cell_angle_gamma 120.03
loop_
_atom_site_label
_atom_site_fract_x
_atom_site_fract_y
_atom_site_fract_z
_atom_site_occupancy
P1 0.633 0.968 0.417 1
P2 0.707 0.709 0.250 1
P3 0.296 0.301 0.749 1
P4 0.003 0.704 0.751 1
P5 0.961 0.629 0.084 1
P6 0.292 0.998 0.248 1
P7 0.334 0.367 0.417 1
P8 0.034 0.666 0.417 1
P9 0.375 0.335 0.085 1
P10 0.669 0.042 0.083 1
P11 0.619 0.662 0.917 1
P12 0.002 0.293 0.250 1
P13 0.378 0.044 0.583 1
P14 0.700 0.996 0.751 1
P15 0.956 0.334 0.583 1
Sc1 0.997 0.997 0.652 1
Sc2 0.327 0.657 0.019 1
Sc3 0.337 0.667 0.515 1
Sc4 0.334 0.667 0.320 1
Sc5 0.009 0.009 0.851 1
Sc6 0.994 0.001 0.144 1
Sc7 0.669 0.336 0.184 1
Sc8 0.665 0.337 0.688 1
Sc9 0.999 0.999 0.354 1
O1 0.499 0.652 0.578 1
O2 0.031 0.209 0.195 1
O3 0.494 0.122 0.637 1
O4 0.372 0.861 0.864 1
O5 0.690 0.524 0.526 1
O6 0.802 0.813 0.908 1
O7 0.187 0.971 0.191 1
O8 0.199 0.189 0.802 1
O9 0.839 0.310 0.527 1
O10 0.202 0.027 0.301 1
O11 0.164 0.975 0.911 1
O12 0.511 0.148 0.925 1
O13 0.852 0.496 0.423 1
O14 0.164 0.475 0.256 1
O15 0.204 0.038 0.586 1
O16 0.783 0.973 0.694 1
O17 0.518 0.827 0.757 1
O18 0.853 0.371 0.924 1
O19 0.650 0.130 0.139 1
O20 0.472 0.346 0.143 1
O21 0.976 0.808 0.083 1
O22 0.501 0.350 0.423 1
O23 0.986 0.791 0.807 1
O24 0.138 0.680 0.473 1
O25 0.137 0.502 0.861 1
O26 0.872 0.528 0.141 1
O27 0.636 0.498 0.925 1
O28 0.504 0.867 0.079 1
O29 0.136 0.495 0.576 1
O30 0.850 0.521 0.747 1
O31 0.362 0.476 0.361 1
O32 0.155 0.458 0.976 1
O33 0.117 0.640 0.361 1
O34 0.307 0.849 0.980 1
O35 0.525 0.886 0.361 1
O36 0.484 0.322 0.032 1
O37 0.841 0.316 0.245 1
O38 0.685 0.525 0.245 1
O39 0.141 0.650 0.082 1
O40 0.970 0.178 0.304 1
O41 0.648 0.150 0.423 1
O42 0.629 0.499 0.639 1
O43 0.311 0.836 0.256 1
O44 0.348 0.861 0.575 1
O45 0.803 0.010 0.807 1
O46 0.359 0.494 0.081 1
O47 0.843 0.814 0.587 1
O48 0.179 0.186 0.413 1
O49 0.195 0.226 0.690 1
O50 0.791 0.821 0.195 1
O51 0.477 0.159 0.245 1
O52 0.319 0.456 0.473 1
O53 0.681 0.158 0.028 1
O54 0.173 0.692 0.758 1
O55 0.503 0.631 0.861 1
O56 0.848 0.527 0.028 1
O57 0.524 0.687 0.256 1
O58 0.029 0.811 0.694 1
O59 0.476 0.323 0.747 1
O60 0.673 0.151 0.747 1
O61 0.475 0.160 0.527 1
O62 0.203 0.163 0.083 1
O63 0.813 0.992 0.413 1
O64 0.543 0.862 0.473 1
O65 0.821 0.792 0.305 1
O66 0.542 0.699 0.971 1
O67 0.834 0.033 0.083 1
O68 0.872 0.363 0.637 1
O69 0.991 0.174 0.911 1
O70 0.971 0.170 0.586 1
O71 0.313 0.483 0.757 1
O72 0.007 0.819 0.413 1
Si1 0.042 0.371 0.918 1
Si2 0.331 0.958 0.920 1
Si3 0.666 0.628 0.585 1
Na1 0.010 0.023 0.997 1
Na2 0.305 0.341 0.589 1
Na3 0.976 0.676 0.912 1
Na4 0.295 0.958 0.080 1
Na5 0.001 0.638 0.251 1
Na6 0.362 0.361 0.251 1
Na7 0.637 0.000 0.252 1
Na8 0.652 0.329 0.823 1
Na9 0.334 0.652 0.161 1
Na10 0.341 0.666 0.669 1
Na11 0.695 0.019 0.910 1
Na12 0.665 0.961 0.586 1
Na13 0.035 0.703 0.585 1
Na14 0.667 0.331 0.335 1
Na15 0.997 0.997 0.496 1
Ta1 0.665 0.333 0.979 1
Ta2 0.330 0.666 0.814 1
Ta3 0.668 0.339 0.479 1

---

# Na6Sc3TaSi2P4O24 | the Materials Project database | GGA-PBE | relaxed
# E	-7.40	eV/atom
# corrected total energy (MP2020 scheme)	-7.81	eV/atom
# energy of formation from the pure elements	-3.059	eV per atom
# volume	529.7	Å³/f.u.
data_Na6Sc3TaSi2P4O24
_chemical_formula_sum 'Na12 Sc6 Ta2 Si4 P8 O48'
_symmetry_space_group_name_H-M 'P 1'
_symmetry_Int_Tables_number 1
_symmetry_space_group_name_Hall 'P 1'
_cell_length_a 15.743
_cell_length_b 9.051
_cell_length_c 9.067
_cell_angle_alpha 89.48
_cell_angle_beta 124.91
_cell_angle_gamma 90.20
loop_
_atom_site_label
_atom_site_fract_x
_atom_site_fract_y
_atom_site_fract_z
_atom_site_occupancy
P1 0.356 0.104 0.260 1
P2 0.147 0.392 0.741 1
P3 0.856 0.604 0.260 1
P4 0.647 0.892 0.741 1
P5 0.502 0.454 0.761 1
P6 0.002 0.954 0.761 1
P7 0.497 0.543 0.245 1
P8 0.997 0.043 0.245 1
O1 0.034 0.670 0.077 1
O2 0.760 0.660 0.246 1
O3 0.067 0.837 0.744 1
O4 0.859 0.665 0.097 1
O5 0.434 0.444 0.072 1
O6 0.155 0.564 0.744 1
O7 0.934 0.944 0.072 1
O8 0.260 0.160 0.246 1
O9 0.256 0.823 0.745 1
O10 0.359 0.165 0.097 1
O11 0.460 0.841 0.932 1
O12 0.153 0.424 0.244 1
O13 0.153 0.647 0.429 1
O14 0.052 0.334 0.563 1
O15 0.747 0.832 0.763 1
O16 0.955 0.655 0.435 1
O17 0.555 0.440 0.409 1
O18 0.653 0.147 0.429 1
O19 0.580 0.634 0.243 1
O20 0.756 0.323 0.745 1
O21 0.239 0.693 0.248 1
O22 0.247 0.332 0.763 1
O23 0.055 0.940 0.409 1
O24 0.568 0.541 0.934 1
O25 0.644 0.847 0.901 1
O26 0.347 0.085 0.768 1
O27 0.552 0.834 0.563 1
O28 0.921 0.149 0.246 1
O29 0.534 0.170 0.077 1
O30 0.144 0.347 0.901 1
O31 0.917 0.861 0.766 1
O32 0.417 0.361 0.766 1
O33 0.653 0.924 0.244 1
O34 0.435 0.557 0.595 1
O35 0.854 0.375 0.576 1
O36 0.353 0.933 0.242 1
O37 0.847 0.585 0.768 1
O38 0.655 0.064 0.744 1
O39 0.853 0.433 0.242 1
O40 0.068 0.041 0.934 1
O41 0.739 0.193 0.248 1
O42 0.935 0.057 0.595 1
O43 0.421 0.649 0.246 1
O44 0.960 0.341 0.932 1
O45 0.354 0.875 0.576 1
O46 0.455 0.155 0.435 1
O47 0.080 0.134 0.243 1
O48 0.567 0.337 0.744 1
Sc1 0.103 0.254 0.056 1
Sc2 0.606 0.256 0.564 1
Sc3 0.106 0.756 0.564 1
Sc4 0.394 0.745 0.437 1
Sc5 0.894 0.245 0.437 1
Sc6 0.603 0.754 0.056 1
Na1 0.750 0.251 0.998 1
Na2 0.006 0.382 0.257 1
Na3 0.746 0.753 0.485 1
Na4 0.506 0.882 0.257 1
Na5 0.998 0.592 0.735 1
Na6 0.250 0.751 0.998 1
Na7 0.498 0.092 0.735 1
Na8 0.308 0.579 0.708 1
Na9 0.692 0.433 0.290 1
Na10 0.192 0.933 0.290 1
Na11 0.808 0.079 0.708 1
Na12 0.246 0.253 0.485 1
Ta1 0.896 0.748 0.941 1
Ta2 0.396 0.248 0.941 1
Si1 0.151 0.603 0.253 1
Si2 0.651 0.103 0.253 1
Si3 0.852 0.401 0.754 1
Si4 0.352 0.901 0.754 1